Entry 1:
The following is a GGA-PBE calculation of crystalline LiZnPO4 at its relaxed geometry, from Materials Project.

a b c (Å): 10.172 5.036 6.774
angles (deg): 90.00 90.00 90.00
Sites, in units of the cell vectors:
1 Li 0.153 0.186 0.000
2 Li 0.347 0.686 0.500
3 Li 0.653 0.314 0.000
4 Li 0.847 0.814 0.500
5 Zn 0.155 0.186 0.499
6 Zn 0.345 0.686 0.999
7 Zn 0.655 0.314 0.499
8 Zn 0.845 0.814 0.999
9 P 0.094 0.684 0.749
10 P 0.406 0.184 0.249
11 P 0.594 0.816 0.749
12 P 0.906 0.316 0.249
13 O 0.054 0.243 0.252
14 O 0.115 0.378 0.747
15 O 0.159 0.800 0.559
16 O 0.161 0.800 0.937
17 O 0.339 0.300 0.437
18 O 0.341 0.300 0.059
19 O 0.385 0.878 0.247
20 O 0.446 0.743 0.752
21 O 0.554 0.257 0.252
22 O 0.615 0.122 0.747
23 O 0.659 0.700 0.559
24 O 0.661 0.700 0.937
25 O 0.839 0.200 0.437
26 O 0.841 0.200 0.059
27 O 0.885 0.622 0.247
28 O 0.946 0.757 0.752

Summary:
Maximum piezoelectric response   0.134 C/m²



Entry 2:
The following is a GGA-PBE calculation of crystalline Na3Zr2Si2PO12 at its relaxed geometry, from Materials Project.

a b c (Å): 9.186 9.384 15.889
angles (deg): 106.07 90.30 118.61
Sites, in units of the cell vectors:
1 Na 0.000 0.000 0.000
2 Na 0.000 0.349 0.919
3 Na 0.058 0.703 0.774
4 Na 0.066 0.389 0.223
5 Na 0.094 0.334 0.578
6 Na 0.447 0.122 0.518
7 Na 0.498 0.747 0.209
8 Na 0.515 0.966 0.861
9 Na 0.587 0.532 0.415
10 Na 0.596 0.364 0.093
11 Na 0.605 0.445 0.741
12 Na 0.977 0.917 0.350
13 Zr 0.029 0.639 0.121
14 Zr 0.081 0.753 0.478
15 Zr 0.261 0.121 0.864
16 Zr 0.318 0.234 0.218
17 Zr 0.526 0.634 0.620
18 Zr 0.576 0.751 0.975
19 Zr 0.759 0.121 0.372
20 Zr 0.819 0.236 0.717
21 Si 0.269 0.430 0.063
22 Si 0.309 0.922 0.309
23 Si 0.317 0.937 0.022
24 Si 0.394 0.946 0.670
25 Si 0.781 0.440 0.570
26 Si 0.814 0.921 0.811
27 Si 0.820 0.934 0.524
28 Si 0.889 0.939 0.172
29 P 0.204 0.430 0.418
30 P 0.278 0.448 0.778
31 P 0.704 0.432 0.920
32 P 0.781 0.444 0.280
33 O 0.007 0.957 0.827
34 O 0.040 0.263 0.413
35 O 0.062 0.117 0.174
36 O 0.093 0.411 0.770
37 O 0.100 0.448 0.074
38 O 0.160 0.777 0.044
39 O 0.166 0.573 0.419
40 O 0.212 0.259 0.977
41 O 0.220 0.741 0.226
42 O 0.224 0.902 0.398
43 O 0.252 0.955 0.931
44 O 0.282 0.903 0.578
45 O 0.286 0.299 0.799
46 O 0.291 0.070 0.284
47 O 0.296 0.404 0.338
48 O 0.300 0.964 0.757
49 O 0.321 0.478 0.505
50 O 0.340 0.421 0.156
51 O 0.341 0.457 0.688
52 O 0.372 0.114 0.104
53 O 0.387 0.617 0.853
54 O 0.424 0.598 0.045
55 O 0.439 0.798 0.668
56 O 0.479 0.912 0.006
57 O 0.508 0.978 0.328
58 O 0.537 0.263 0.912
59 O 0.566 0.132 0.683
60 O 0.591 0.393 0.265
61 O 0.604 0.444 0.580
62 O 0.665 0.570 0.913
63 O 0.669 0.764 0.541
64 O 0.703 0.741 0.731
65 O 0.731 0.264 0.489
66 O 0.737 0.907 0.903
67 O 0.762 0.954 0.432
68 O 0.773 0.875 0.077
69 O 0.793 0.970 0.255
70 O 0.802 0.305 0.303
71 O 0.803 0.403 0.844
72 O 0.811 0.480 0.010
73 O 0.813 0.086 0.794
74 O 0.852 0.435 0.665
75 O 0.853 0.464 0.193
76 O 0.869 0.107 0.608
77 O 0.869 0.613 0.359
78 O 0.929 0.602 0.547
79 O 0.934 0.793 0.180
80 O 0.988 0.918 0.509



Entry 3:
The following is a GGA-PBE calculation of crystalline Rb2O at its relaxed geometry, from Materials Project.

a b c (Å): 7.393 7.393 6.612
angles (deg): 90.00 90.00 120.00
Sites, in units of the cell vectors:
1 Rb 0.001 0.326 0.000
2 Rb 0.324 0.999 0.000
3 Rb 0.340 0.340 0.399
4 Rb 0.660 0.001 0.399
5 Rb 0.674 0.676 0.000
6 Rb 0.999 0.660 0.399
7 O 0.000 0.000 0.221
8 O 0.333 0.667 0.192
9 O 0.667 0.333 0.183

Summary:
Maximum piezoelectric response   0.008 C/m²



Entry 4:
The following is a GGA-PBE calculation of crystalline Y3CuSiS7 at its relaxed geometry, from Materials Project.

a b c (Å): 9.926 9.926 5.707
angles (deg): 90.00 90.00 120.00
Sites, in units of the cell vectors:
1 Y 0.128 0.357 0.000
2 Y 0.229 0.872 0.000
3 Y 0.357 0.229 0.500
4 Y 0.643 0.771 0.000
5 Y 0.771 0.128 0.500
6 Y 0.872 0.643 0.500
7 Cu 0.000 0.000 0.460
8 Cu 0.000 0.000 0.960
9 Si 0.333 0.667 0.588
10 Si 0.667 0.333 0.088
11 S 0.093 0.258 0.476
12 S 0.107 0.584 0.738
13 S 0.164 0.907 0.476
14 S 0.258 0.164 0.976
15 S 0.333 0.667 0.217
16 S 0.416 0.523 0.738
17 S 0.477 0.893 0.738
18 S 0.523 0.107 0.238
19 S 0.584 0.477 0.238
20 S 0.667 0.333 0.717
21 S 0.742 0.836 0.476
22 S 0.836 0.093 0.976
23 S 0.893 0.416 0.238
24 S 0.907 0.742 0.976



Entry 5:
The following is a GGA-PBE calculation of crystalline Nb3Fe3N at its relaxed geometry, from Materials Project.

a b c (Å): 7.988 7.988 7.988
angles (deg): 60.00 60.00 60.00
Sites, in units of the cell vectors:
1 Nb 0.074 0.074 0.676
2 Nb 0.074 0.676 0.074
3 Nb 0.074 0.676 0.676
4 Nb 0.324 0.324 0.926
5 Nb 0.324 0.926 0.324
6 Nb 0.324 0.926 0.926
7 Nb 0.676 0.074 0.074
8 Nb 0.676 0.074 0.676
9 Nb 0.676 0.676 0.074
10 Nb 0.926 0.324 0.324
11 Nb 0.926 0.324 0.926
12 Nb 0.926 0.926 0.324
13 Fe 0.000 0.500 0.500
14 Fe 0.300 0.300 0.300
15 Fe 0.300 0.300 0.601
16 Fe 0.300 0.601 0.300
17 Fe 0.399 0.700 0.700
18 Fe 0.500 0.000 0.500
19 Fe 0.500 0.500 0.000
20 Fe 0.500 0.500 0.500
21 Fe 0.601 0.300 0.300
22 Fe 0.700 0.399 0.700
23 Fe 0.700 0.700 0.399
24 Fe 0.700 0.700 0.700
25 N 0.000 0.000 0.000
26 N 0.000 0.000 0.500
27 N 0.000 0.500 0.000
28 N 0.500 0.000 0.000



Entry 6:
The following is a GGA-PBE calculation of crystalline NiH2C2N4 at its relaxed geometry, from Materials Project.

a b c (Å): 6.693 8.593 3.315
angles (deg): 90.00 90.00 90.00
Sites, in units of the cell vectors:
1 Ni 0.000 0.000 0.000
2 Ni 0.500 0.500 0.500
3 H 0.212 0.437 0.000
4 H 0.288 0.937 0.500
5 H 0.712 0.063 0.500
6 H 0.788 0.563 0.000
7 C 0.181 0.663 0.000
8 C 0.319 0.163 0.500
9 C 0.681 0.837 0.500
10 C 0.819 0.337 0.000
11 N 0.092 0.781 0.000
12 N 0.207 0.038 0.500
13 N 0.293 0.538 0.000
14 N 0.408 0.281 0.500
15 N 0.592 0.719 0.500
16 N 0.707 0.462 0.000
17 N 0.793 0.962 0.500
18 N 0.908 0.219 0.000



Entry 7:
The following is a GGA-PBE calculation of crystalline SrHfO3 at its relaxed geometry, from Materials Project.

a b c (Å): 4.141 4.141 4.141
angles (deg): 90.00 90.00 90.00
Sites, in units of the cell vectors:
1 Sr 0.000 0.000 0.000
2 Hf 0.500 0.500 0.500
3 O 0.000 0.500 0.500
4 O 0.500 0.000 0.500
5 O 0.500 0.500 0.000



Entry 8:
The following is a GGA-PBE calculation of crystalline AsCl3 at its relaxed geometry, from Materials Project.

a b c (Å): 4.653 10.227 12.233
angles (deg): 90.00 90.00 90.00
Sites, in units of the cell vectors:
1 As 0.028 0.199 0.288
2 As 0.472 0.801 0.788
3 As 0.528 0.301 0.712
4 As 0.972 0.699 0.212
5 Cl 0.236 0.796 0.631
6 Cl 0.242 0.643 0.875
7 Cl 0.245 0.030 0.364
8 Cl 0.255 0.970 0.864
9 Cl 0.258 0.357 0.375
10 Cl 0.264 0.204 0.131
11 Cl 0.736 0.704 0.369
12 Cl 0.742 0.857 0.125
13 Cl 0.745 0.470 0.636
14 Cl 0.755 0.530 0.136
15 Cl 0.758 0.143 0.625
16 Cl 0.764 0.296 0.869

Summary:
Maximum piezoelectric response   0.013 C/m²



no.,V (Å³/f.u.),ΔH_f (0 K) (meV per atom)
1,86.8,-2546
2,285.0,-3138
3,104.3,-1131
4,243.5,-1812
5,90.1,-484
6,95.3,-16
7,71.0,-3780
8,145.5,-1178